The following is a DFT calculation (r²SCAN) of crystalline Sm6Ge3S14 at its relaxed geometry.

Results
* crystal system: trigonal

Cell: 10.1239 10.1239 5.7705 Å, 90.00 90.00 120.00°
Space group P3 (No. 143)
Inequivalent atoms, fractional coordinates:
Sm  0.0260  0.5653  0.0000 (multiplicity 3)
Sm  0.3094  0.1022  0.5094 (multiplicity 3)
Ge  0.0000  0.0000  0.9258 (multiplicity 1)
Ge  0.3333  0.6667  0.4162 (multiplicity 1)
Ge  0.6667  0.3333  0.2688 (multiplicity 1)
S  0.0000  0.0000  0.3023 (multiplicity 1)
S  0.0807  0.8521  0.7675 (multiplicity 3)
S  0.1848  0.4376  0.2608 (multiplicity 3)
S  0.3333  0.6667  0.7936 (multiplicity 1)
S  0.4122  0.1713  0.0318 (multiplicity 3)
S  0.4999  0.4246  0.5230 (multiplicity 3)

***

The following is a DFT calculation (r²SCAN) of crystalline Si2Mo at its relaxed geometry.

Results
* crystal system: hexagonal

Cell: 4.5855 4.5855 6.5798 Å, 90.00 90.00 120.00°
Space group P6_222 (No. 180)
Inequivalent atoms, fractional coordinates:
Si  0.1639  0.3277  0.0000 (multiplicity 6)
Mo  0.0000  0.5000  0.6667 (multiplicity 3)

***

The following is a DFT calculation (r²SCAN) of crystalline Li2ZnGe at its relaxed geometry.

Results
* crystal system: trigonal

Cell: 4.2463 4.2463 16.4753 Å, 90.00 90.00 120.00°
Space group P-3m1 (No. 164)
Inequivalent atoms, fractional coordinates:
Li  0.3333  0.6667  0.0413 (multiplicity 2)
Li  0.3333  0.6667  0.2087 (multiplicity 2)
Li  0.3333  0.6667  0.5413 (multiplicity 2)
Li  0.3333  0.6667  0.7087 (multiplicity 2)
Zn  0.0000  0.0000  0.1243 (multiplicity 2)
Zn  0.0000  0.0000  0.3744 (multiplicity 2)
Ge  0.3333  0.6667  0.3749 (multiplicity 2)
Ge  0.3333  0.6667  0.8750 (multiplicity 2)

***

The following is a DFT calculation (r²SCAN) of crystalline Tb7PtI12 at its relaxed geometry.

Results
* crystal system: trigonal

Cell: 15.6849 15.6849 10.6672 Å, 90.00 90.00 120.00°
Space group R-3 (No. 148, hexagonal axes)
Inequivalent atoms, fractional coordinates:
Tb  0.0000  0.0000  0.0000 (multiplicity 3)
Tb  0.0445  0.8856  0.3528 (multiplicity 18)
Pt  0.0000  0.0000  0.5000 (multiplicity 3)
I  0.0198  0.4340  0.1608 (multiplicity 18)
I  0.0519  0.8684  0.8403 (multiplicity 18)

***

The following is a DFT calculation (r²SCAN) of crystalline PrBPt2 at its relaxed geometry.

Results
* crystal system: hexagonal

Cell: 5.4863 5.4863 8.0124 Å, 90.00 90.00 120.00°
Space group P6_222 (No. 180)
Inequivalent atoms, fractional coordinates:
Pr  0.0000  0.5000  0.1667 (multiplicity 3)
B  0.0000  0.5000  0.6667 (multiplicity 3)
Pt  0.1541  0.3083  0.5000 (multiplicity 6)

***

The following is a DFT calculation (r²SCAN) of crystalline TmFeB4 at its relaxed geometry.

Results
* crystal system: orthorhombic

Cell: 5.8337 11.2814 3.3311 Å, 90.00 90.00 90.00°
Space group Pbam (No. 55)
Inequivalent atoms, fractional coordinates:
Tm  0.1269  0.1503  0.0000 (multiplicity 4)
Fe  0.1336  0.4112  0.0000 (multiplicity 4)
B  0.0243  0.6907  0.5000 (multiplicity 4)
B  0.1118  0.5463  0.5000 (multiplicity 4)
B  0.1385  0.9684  0.5000 (multiplicity 4)
B  0.2167  0.8160  0.5000 (multiplicity 4)

***

| no. | ΔH_f (0 K) (eV per atom) | total energy (eV per atom) |
| --- | --- | --- |
| 1 | -1.69 | -16.144 |
| 2 | -0.43 | -14.975 |
| 3 | -0.40 | -7.289 |
| 4 | -1.52 | -29.763 |
| 5 | -1.01 | -35.939 |
| 6 | -0.63 | -13.779 |